Record 1
Zn3Fe12Co2O24 | PBE with a Hubbard U | optimized geometry

Cell lengths 10.473, 10.473, 10.473 Å; angles 146.46, 131.50, 60.25 degrees
Fractional coordinates of all 41 atoms:
Zn  0.997  0.000  0.997
Zn  0.667  0.665  0.002
Zn  0.337  0.335  0.002
Fe  0.377  0.744  0.122
Fe  0.039  0.415  0.122
Fe  0.707  0.084  0.122
Fe  0.547  0.920  0.627
Fe  0.205  0.582  0.623
Fe  0.876  0.248  0.628
Fe  0.707  0.080  0.627
Fe  0.380  0.752  0.628
Fe  0.041  0.418  0.623
Fe  0.377  0.256  0.633
Fe  0.039  0.916  0.623
Fe  0.707  0.585  0.623
Co  0.416  0.166  0.250
Co  0.083  0.834  0.250
O  0.136  0.270  0.406
O  0.803  0.938  0.407
O  0.469  0.604  0.407
O  0.284  0.423  0.861
O  0.956  0.091  0.865
O  0.621  0.756  0.864
O  0.438  0.577  0.861
O  0.108  0.244  0.864
O  0.774  0.909  0.865
O  0.136  0.730  0.866
O  0.803  0.396  0.865
O  0.469  0.062  0.865
O  0.601  0.219  0.820
O  0.289  0.909  0.861
O  0.951  0.572  0.861
O  0.457  0.081  0.376
O  0.134  0.749  0.385
O  0.799  0.401  0.398
O  0.294  0.919  0.376
O  0.997  0.599  0.398
O  0.636  0.251  0.385
O  0.601  0.781  0.383
O  0.289  0.428  0.380
O  0.951  0.091  0.380

Space-group type: Imm2, No. 44
DFT total energy in eV per atom: -6.26


Record 2
La2GaCoO6 | PBE with a Hubbard U | optimized geometry

Cell lengths 5.500, 5.500, 5.500 Å; angles 60.63, 60.63, 60.63 degrees
Fractional coordinates of all 10 atoms:
La  0.250  0.250  0.250
La  0.750  0.750  0.750
Ga  0.500  0.500  0.500
Co  0.000  0.000  0.000
O  0.692  0.808  0.249
O  0.249  0.692  0.808
O  0.808  0.249  0.692
O  0.751  0.308  0.192
O  0.192  0.751  0.308
O  0.308  0.192  0.751

Space-group type: R-3, No. 148
DFT total energy in eV per atom: -7.23


Record 3
La2GaCoO6 | PBE with a Hubbard U | optimized geometry

Cell lengths 5.589, 18.164, 5.609 Å; angles 81.56, 60.49, 90.99 degrees
Fractional coordinates of all 40 atoms:
La  0.812  0.437  0.376
La  0.063  0.187  0.882
La  0.561  0.688  0.875
La  0.316  0.938  0.368
La  0.939  0.812  0.118
La  0.187  0.563  0.624
La  0.684  0.062  0.632
La  0.438  0.312  0.124
Ga  0.874  0.625  0.250
Ga  0.125  0.375  0.750
Ga  0.624  0.875  0.747
Ga  0.377  0.125  0.253
Co  0.500  0.500  0.000
Co  0.250  0.750  0.497
Co  0.751  0.250  0.502
Co  0.000  0.000  0.000
O  0.571  0.688  0.297
O  0.821  0.438  0.798
O  0.319  0.937  0.793
O  0.071  0.187  0.305
O  0.131  0.687  0.881
O  0.383  0.436  0.379
O  0.884  0.936  0.361
O  0.635  0.187  0.884
O  0.997  0.688  0.448
O  0.249  0.438  0.947
O  0.738  0.939  0.937
O  0.498  0.188  0.452
O  0.616  0.564  0.620
O  0.868  0.313  0.119
O  0.367  0.813  0.117
O  0.116  0.064  0.640
O  0.751  0.561  0.053
O  0.001  0.312  0.551
O  0.503  0.812  0.549
O  0.263  0.061  0.064
O  0.177  0.562  0.203
O  0.428  0.312  0.702
O  0.932  0.814  0.693
O  0.681  0.063  0.209

Space-group type: P1, No. 1
DFT total energy in eV per atom: -7.22


Record 4
Sr3LaGaCo2O9 | PBE with a Hubbard U | optimized geometry

Cell lengths 4.040, 4.040, 14.318 Å; angles 81.71, 81.71, 88.75 degrees
Fractional coordinates of all 16 atoms:
Sr  0.297  0.297  0.405
Sr  0.698  0.698  0.603
Sr  0.424  0.424  0.151
La  0.575  0.575  0.850
Ga  0.852  0.852  0.295
Co  0.009  0.009  0.981
Co  0.145  0.145  0.710
O  0.786  0.786  0.427
O  0.211  0.211  0.577
O  0.366  0.866  0.267
O  0.136  0.636  0.728
O  0.636  0.136  0.728
O  0.866  0.366  0.267
O  0.072  0.072  0.855
O  0.711  0.711  0.007
O  0.282  0.282  0.007

Space-group type: Fmm2, No. 42
DFT total energy in eV per atom: -6.31


What formation enthalpy at 0 K values result from the calculations? In sequence: -1.58 -2.83 -2.83 -2.42 eV per atom.